# 1
The following is a DFT calculation (PBE) of crystalline Tl4MoC8N8 at its relaxed geometry.

- space-group type = C2/c
- formation enthalpy at 0 K (meV/atom) = 145

```
84
Lattice="15.4914 -3.7072 0.0000 15.4914 3.7072 0.0000 -8.3072 0.0000 13.9453" Properties=species:S:1:pos:R:3 pbc="T T T"
Tl 5.0823 1.2118 1.1767
Tl 4.5175 1.5852 5.3646
Tl 6.1576 2.0024 13.6977
Tl 8.2446 1.7469 8.9071
Tl 12.3643 2.0024 7.2202
Tl 10.2773 1.7469 12.0109
Tl 0.9287 -1.2118 8.1493
Tl 0.3639 -1.5852 12.3373
Tl 22.3116 1.5852 1.6080
Tl 21.7468 1.2118 5.7960
Tl 12.3982 -1.7469 1.9344
Tl 10.3112 -2.0024 6.7251
Tl 14.4309 -1.7469 5.0382
Tl 16.5179 -2.0024 0.2476
Tl 18.1580 -1.5852 8.5807
Tl 17.5932 -1.2118 12.7686
Mo 9.7136 1.7698 3.3343
Mo 17.1155 1.7698 3.6383
Mo 5.5600 -1.7698 10.3070
Mo 12.9619 -1.7698 10.6109
C 11.2085 3.1661 4.0483
C -0.4782 1.2910 10.6415
C 9.1646 2.3827 5.3170
C -2.3881 0.1938 11.8650
C 15.6207 3.1661 2.9243
C 1.7655 -0.1938 4.8924
C 11.3136 1.4986 1.9198
C 8.9416 0.8193 1.5583
C 17.6645 2.3827 1.6557
C 4.5359 0.0264 10.9947
C 8.6895 -0.0264 4.0220
C 3.6755 -1.2910 3.6689
C 11.1215 0.5181 4.3962
C 15.5155 1.4986 5.0529
C 4.7880 -0.8193 8.5309
C 15.7076 0.5181 2.5765
C 6.9679 -0.5181 11.3688
C 17.8876 0.8193 5.4144
C 7.1600 -1.4986 8.8924
C 11.5540 -0.5181 9.5491
C 19.0001 1.2910 10.2764
C 13.9860 0.0264 9.9233
C 18.1396 -0.0264 2.9506
C 5.0110 -2.3827 12.2896
C 13.7340 -0.8193 12.3870
C 11.3619 -1.4986 12.0255
C 20.9100 0.1938 9.0529
C 7.0548 -3.1661 11.0210
C 25.0636 -0.1938 2.0802
C 13.5109 -2.3827 8.6283
C 23.1537 -1.2910 3.3038
C 11.4671 -3.1661 9.8970
N 7.8526 3.5085 11.4727
N 8.8372 2.7478 6.3898
N 10.6693 3.5085 9.4452
N 1.7904 0.7221 5.6349
N 0.6278 0.8792 10.6780
N 4.0125 1.0035 11.3884
N 17.9919 2.7478 0.5829
N 12.1054 1.3923 1.0573
N 8.4850 0.3256 0.5945
N -2.3632 -0.7221 12.6075
N 4.3314 -0.3256 7.5671
N 4.7814 -0.8792 3.7053
N 14.7237 1.3923 5.9154
N 7.7233 0.1254 12.0062
N 8.1661 -1.0035 4.4157
N 11.8769 -0.1254 5.0335
N 10.7986 0.1254 8.9118
N 14.5094 1.0035 9.5296
N 14.9522 -0.1254 1.9391
N 7.9518 -1.3923 8.0299
N 17.8941 0.8792 10.2399
N 18.3440 0.3256 6.3782
N 25.0387 0.7221 1.3378
N 14.1904 -0.3256 13.3508
N 10.5701 -1.3923 12.8880
N 4.6836 -2.7478 13.3624
N 18.6630 -1.0035 2.5569
N 22.0477 -0.8792 3.2673
N 20.8851 -0.7221 8.3104
N 12.0062 -3.5085 4.5001
N 13.8383 -2.7478 7.5555
N 14.8229 -3.5085 2.4726
```

***

# 2
The following is a DFT calculation (PBE) of crystalline NiI10N6 at its relaxed geometry.

- space-group type = P2_1/c
- formation enthalpy at 0 K (meV/atom) = 1114

```
34
Lattice="8.7242 0.0000 0.0000 0.0000 16.2092 0.0000 -7.6414 0.0000 9.0085" Properties=species:S:1:pos:R:3 pbc="T T T"
Ni 0.0000 0.0000 0.0000
Ni -3.8207 8.1046 4.5043
I -2.4937 3.9711 2.9904
I -6.3144 4.1335 7.4947
I -1.3451 9.4599 4.3225
I -5.1659 14.8538 8.8268
I 2.1432 8.3723 0.2597
I -1.6775 15.9414 4.7639
I -2.2758 2.4915 5.5252
I 1.5449 5.6131 1.0210
I -4.7576 11.1302 8.7200
I -0.9369 13.1835 4.2157
I 2.0196 3.0257 4.7928
I 5.8403 5.0789 0.2886
I -0.4622 10.5961 7.9876
I 3.3585 13.7177 3.4833
I 2.7602 0.2677 4.2446
I -1.0605 7.8368 8.7489
I 6.2486 1.3554 0.1818
I 2.4279 6.7492 4.6860
I 7.3971 12.0756 1.5139
I 3.5764 12.2381 6.0181
N -2.4139 8.2736 3.1738
N -6.2347 16.0401 7.6781
N 0.9910 1.3578 0.8457
N -2.8298 6.7468 5.3500
N -2.8055 9.3604 5.6341
N 1.0152 14.9534 1.1299
N 0.0675 1.2558 7.8787
N 3.8883 6.8488 3.3744
N 3.9125 9.4624 3.6586
N 0.0918 14.8513 8.1629
N 7.3174 0.1690 1.3305
N 3.4967 7.9356 5.8348
```

***

# 3
The following is a DFT calculation (PBE) of crystalline Zn3P2 at its relaxed geometry.

- relative energy among the computed polymorphs (eV/atom) = 0.1829
- space-group type = Pn-3m
- formation enthalpy at 0 K (meV/atom) = -5

```
10
Lattice="5.7163 0.0000 0.0000 0.0000 5.7163 0.0000 0.0000 0.0000 5.7163" Properties=species:S:1:pos:R:3 pbc="T T T"
Zn 1.4291 1.4291 4.2872
Zn 1.4291 4.2872 1.4291
Zn 1.4291 4.2872 4.2872
Zn 4.2872 1.4291 1.4291
Zn 4.2872 1.4291 4.2872
Zn 4.2872 4.2872 1.4291
P 0.0000 0.0000 0.0000
P 0.0000 2.8582 2.8582
P 2.8582 0.0000 2.8582
P 2.8582 2.8582 0.0000
```

***

# 4
The following is a DFT calculation (PBE) of crystalline LiPd5O6 at its relaxed geometry.

- space-group type = C2/m
- formation enthalpy at 0 K (meV/atom) = -716

```
12
Lattice="2.9265 -4.5491 0.0000 2.9265 4.5491 0.0000 -2.2988 0.0000 5.3540" Properties=species:S:1:pos:R:3 pbc="T T T"
Li 0.0000 0.0000 0.0000
Pd 1.7771 2.9747 2.6770
Pd 2.9265 1.5205 0.0000
Pd 1.7771 0.0000 2.6770
Pd 2.9265 -1.5205 0.0000
Pd 1.7771 -2.9747 2.6770
O 1.2749 1.5142 1.2128
O -0.2660 0.0000 3.7045
O 1.2749 -1.5142 1.2128
O 2.2794 1.5142 4.1412
O 3.8202 0.0000 1.6495
O 2.2794 -1.5142 4.1412
```

***

# 5
The following is a DFT calculation (PBE) of crystalline La2Ce2O7 at its relaxed geometry.

- space-group type = P2_1
- formation enthalpy at 0 K (meV/atom) = -3813

```
44
Lattice="8.4341 0.0000 0.0000 0.0000 6.0068 0.0000 -2.1622 0.0000 14.5168" Properties=species:S:1:pos:R:3 pbc="T T T"
La 1.0552 0.0000 0.8837
La 1.0734 2.6402 6.0583
La 1.0443 5.5205 9.0572
La 1.0592 2.5159 13.1432
La 5.2127 5.5193 1.3736
La 5.2276 2.5171 5.4596
La 5.1984 5.6436 8.4586
La 5.2166 3.0034 13.6331
Ce -1.0828 2.6049 8.9324
Ce -1.1314 5.6373 11.8381
Ce 3.1202 2.6927 2.5880
Ce 3.1551 5.6219 5.5060
Ce 3.1168 2.6185 9.0108
Ce 3.1516 5.6961 11.9289
Ce 7.4033 2.6339 2.6787
Ce 7.3547 5.6083 5.5844
O -1.4307 0.5578 9.7267
O -0.5151 4.3458 7.5629
O -1.2456 1.3257 13.3380
O -0.9154 4.3430 13.5685
O -0.3934 3.9176 10.5064
O 1.0647 1.8896 2.7362
O 1.0427 0.2978 5.6960
O 1.0339 1.8808 8.3996
O 1.0039 0.4987 11.5923
O 2.9227 4.6234 1.6408
O 3.3175 1.4254 0.7054
O 2.8447 3.5567 4.7844
O 2.6048 4.3348 7.5811
O 2.4163 3.9796 10.5438
O 3.8555 0.9762 3.9730
O 3.6671 1.3314 6.9357
O 3.4271 0.5533 9.7324
O 2.9544 4.4288 13.8114
O 3.3492 1.6200 12.8760
O 5.2679 3.5021 2.9245
O 5.2380 4.8842 6.1172
O 5.2292 3.3012 8.8208
O 5.2072 4.8930 11.7806
O 6.6653 0.9142 4.0104
O 7.1873 1.3396 0.9483
O 7.5175 4.3291 1.1788
O 6.7870 1.3424 6.9539
O 7.7026 3.5612 4.7902
```

***

# 6
The following is a DFT calculation (PBE) of crystalline Li10SiP2O12 at its relaxed geometry.

- space-group type = P1
- formation enthalpy at 0 K (meV/atom) = -2633

```
50
Lattice="6.9958 0.0000 0.0000 -0.0141 7.0002 0.0000 -0.0525 -0.1672 10.6526" Properties=species:S:1:pos:R:3 pbc="T T T"
Li 0.0000 0.0000 0.0000
Li 0.0120 3.4891 1.8495
Li 0.0486 3.1063 9.1437
Li 1.3193 5.0353 4.6820
Li 1.5310 4.9544 9.8915
Li 2.9230 -0.0624 10.0811
Li 3.0842 2.8980 1.2580
Li 3.1715 3.3412 6.5104
Li 3.1892 3.1534 9.2130
Li 3.2649 6.8142 5.1712
Li 3.5200 0.2700 2.2569
Li 3.4863 6.7280 7.5537
Li 3.6042 3.7988 3.9752
Li 4.8552 5.0511 1.2735
Li 5.0776 1.5465 8.5825
Li 5.3416 1.9871 3.2297
Li 6.7720 3.5116 6.2126
Li 6.8718 -0.0740 7.8538
Li 6.9424 0.1656 2.5108
Li 6.9402 -0.0226 5.4178
Si 1.6235 5.1968 7.3317
Si 5.2163 1.8059 0.5237
P 1.6370 1.9210 3.8941
P 1.7652 5.3244 1.9025
P 5.0557 1.6226 5.8611
P 5.0989 5.0316 9.2590
O 0.2737 5.3807 6.4078
O 0.3409 2.0150 3.0360
O 0.5303 5.2850 2.8517
O 1.6093 0.5324 4.5800
O 1.6643 4.0996 0.9535
O 1.6552 3.7573 8.1541
O 1.7082 6.6473 1.0638
O 1.7248 3.1161 4.8861
O 1.7113 6.4005 8.4750
O 2.9200 2.0143 2.9932
O 2.9013 5.3183 6.2940
O 3.1081 5.3049 2.7106
O 3.7352 1.6562 10.3265
O 3.8152 1.4342 6.7749
O 3.8312 5.0142 10.1839
O 4.9917 3.0220 5.1771
O 5.0620 3.7488 8.3814
O 5.1058 0.5197 4.7590
O 5.0882 6.3739 8.4764
O 5.1537 3.1144 1.5459
O 5.3168 0.4421 1.4862
O 6.3477 1.5172 6.7340
O 6.4042 4.9984 10.1285
O 6.4162 1.6010 10.1172
```

***

# 7
The following is a DFT calculation (PBE) of crystalline HoAsSe at its relaxed geometry.

- space-group type = Pmmn
- formation enthalpy at 0 K (meV/atom) = -1564

```
6
Lattice="3.8992 0.0000 0.0000 0.0000 3.9176 0.0000 0.0000 0.0000 8.7616" Properties=species:S:1:pos:R:3 pbc="T T T"
Ho 0.9748 0.9794 1.9424
Ho 2.9244 2.9382 6.8191
As 0.9748 2.9382 4.3629
As 2.9244 0.9794 4.3987
Se 0.9748 0.9794 7.6721
Se 2.9244 2.9382 1.0895
```

***

# 8
The following is a DFT calculation (PBE) of crystalline Ce5Ga3 at its relaxed geometry.

- space-group type = I4/mcm
- formation enthalpy at 0 K (meV/atom) = -358

```
16
Lattice="-6.0080 6.0080 2.8165 6.0080 -6.0080 2.8165 6.0080 6.0080 -2.8165" Properties=species:S:1:pos:R:3 pbc="T T T"
Ce 9.3230 0.9860 0.0000
Ce 0.9860 2.6931 0.0000
Ce 6.0080 0.0000 1.4082
Ce 6.9941 3.3150 0.0000
Ce 3.3150 5.0220 0.0000
Ce 2.6931 0.9860 2.8165
Ce -0.9860 2.6931 2.8165
Ce 0.0000 6.0080 1.4082
Ce 5.0220 3.3150 2.8165
Ce -3.3150 5.0220 2.8165
Ga 4.0489 1.9591 0.0000
Ga 0.0000 0.0000 1.4082
Ga 4.0489 -1.9591 2.8165
Ga 1.9591 7.9671 0.0000
Ga 0.0000 0.0000 4.2247
Ga 1.9591 4.0489 2.8165
```

***

# 9
The following is a DFT calculation (PBE) of crystalline ZrP2O10 at its relaxed geometry.

- space-group type = P2_1
- formation enthalpy at 0 K (meV/atom) = -1942

```
26
Lattice="5.4483 0.0000 0.0000 0.0000 6.7066 0.0000 -1.8656 0.0000 12.4346" Properties=species:S:1:pos:R:3 pbc="T T T"
Zr 0.3721 0.0000 4.5915
Zr 3.2106 3.3533 7.8430
P 0.5180 3.3608 5.5245
P 0.4317 3.8476 10.0899
P 3.1510 0.4943 2.3447
P 3.0647 0.0075 6.9100
O 0.3370 1.0905 0.0537
O -0.5951 3.3756 6.5932
O 0.3129 3.7395 0.6886
O -0.9189 3.3829 9.5213
O 0.3714 2.1013 4.6495
O 0.3892 4.6154 4.6335
O 0.4361 5.3643 10.3796
O 0.6608 3.3034 11.5283
O 2.0122 0.0640 3.2802
O 1.6905 0.0047 6.2118
O 1.8922 3.3580 6.2227
O 1.5705 3.4174 9.1544
O 2.9219 6.6567 0.9062
O 3.1466 2.0110 2.0550
O 3.1935 1.2621 7.8011
O 3.2113 5.4546 7.7851
O 4.5016 0.0295 2.9133
O 3.2698 0.3862 11.7460
O 4.1778 0.0223 5.8413
O 3.2457 4.4438 12.3809
```

***

# 10
The following is a DFT calculation (PBE) of crystalline Ce4UO10 at its relaxed geometry.

- relative energy among the computed polymorphs (eV/atom) = 0.0839
- space-group type = I4/mmm
- formation enthalpy at 0 K (meV/atom) = -3924

```
15
Lattice="-1.9229 1.9229 13.6740 1.9229 -1.9229 13.6740 1.9229 1.9229 -13.6740" Properties=species:S:1:pos:R:3 pbc="T T T"
Ce 0.0000 0.0000 2.7845
Ce 0.0000 0.0000 8.1890
Ce 0.0000 0.0000 19.1590
Ce 0.0000 0.0000 24.5634
U 0.0000 0.0000 13.6740
O 1.9229 0.0000 1.2816
O 1.9229 0.0000 4.0860
O 1.9229 0.0000 6.8370
O 1.9229 0.0000 9.5880
O 1.9229 0.0000 12.3924
O 0.0000 1.9229 1.2816
O 0.0000 1.9229 4.0860
O 0.0000 1.9229 6.8370
O 0.0000 1.9229 9.5880
O 0.0000 1.9229 12.3924
```

***

# 11
The following is a DFT calculation (PBE) of crystalline SrZnIn3 at its relaxed geometry.

- space-group type = I4mm
- formation enthalpy at 0 K (meV/atom) = -296

```
5
Lattice="-2.3543 2.3543 6.1018 2.3543 -2.3543 6.1018 2.3543 2.3543 -6.1018" Properties=species:S:1:pos:R:3 pbc="T T T"
Sr 0.0000 0.0000 0.0000
Zn 0.0000 0.0000 7.4451
In 2.3543 0.0000 2.9124
In 0.0000 0.0000 4.8024
In 0.0000 2.3543 2.9124
```

***

# 12
The following is a DFT calculation (PBE) of crystalline MgSb2O4 at its relaxed geometry.

- relative energy among the computed polymorphs (eV/atom) = 0.2041
- space-group type = P2_1
- formation enthalpy at 0 K (meV/atom) = -1966

```
28
Lattice="6.9818 0.0000 0.0000 0.0000 9.9843 0.0000 -0.1872 0.0000 7.1232" Properties=species:S:1:pos:R:3 pbc="T T T"
Mg 0.1043 0.0000 2.6267
Mg 2.0144 0.1428 5.6369
Mg 4.7801 5.1350 1.4863
Mg 6.6902 4.9922 4.4966
Sb 0.3065 7.0811 1.5348
Sb 0.3751 3.2763 1.6685
Sb 2.4608 7.0801 4.1728
Sb 2.5875 3.3258 6.3562
Sb 4.2070 8.3180 0.7670
Sb 4.3337 2.0879 2.9505
Sb 6.4194 8.2685 5.4548
Sb 6.4880 2.0889 5.5884
O 0.5312 0.8127 4.3812
O 0.6009 9.1371 6.7727
O 0.6731 6.6426 5.2181
O 0.9098 3.5464 5.1533
O 1.3144 8.2758 2.9603
O 1.4523 2.1713 0.2882
O 3.1330 8.5639 5.2037
O 3.2688 1.7064 5.5553
O 3.5257 6.6985 1.5679
O 3.6615 3.5717 1.9195
O 5.3422 7.1634 6.8350
O 5.4801 3.2836 4.1629
O 5.8847 8.5386 1.9699
O 6.1214 1.6504 1.9051
O 6.1936 4.1450 0.3505
O 6.2634 5.8049 2.7420
```

***

# 13
The following is a DFT calculation (PBE) of crystalline USiPd at its relaxed geometry.

- space-group type = Pnma
- formation enthalpy at 0 K (meV/atom) = -492

```
12
Lattice="7.0662 0.0000 0.0000 0.0000 4.1865 0.0000 0.0000 0.0000 7.5162" Properties=species:S:1:pos:R:3 pbc="T T T"
U 0.0423 1.0466 1.3039
U 3.4908 3.1399 5.0620
U 3.5754 1.0466 2.4542
U 7.0239 3.1399 6.2123
Si 1.4858 3.1399 2.9060
Si 2.0473 1.0466 6.6641
Si 5.0189 3.1399 0.8521
Si 5.5804 1.0466 4.6103
Pd 1.1342 1.0466 4.2819
Pd 2.3989 3.1399 0.5238
Pd 4.6673 1.0466 6.9924
Pd 5.9320 3.1399 3.2343
```